(1)
Density functional theory data (r2SCAN) for crystalline Ca5Sn3 at its relaxed geometry.

The value obtained for the uncorrected energy is -14.430 eV/atom. The energy relative to the elements comes out at -0.75 eV/atom. The value obtained for the theoretical density is 3.59 g/cm³. Its symmetry is I4/mcm, No. 140. The crystal system is tetragonal.

a = 9.655 Å, b = 9.655 Å, c = 9.655 Å
α = 130.07°, β = 130.07°, γ = 73.30°
Element x y z (fractional)
Ca (0.818, 0.318, 0.854)
Ca (0.182, 0.682, 0.146)
Ca (0.464, 0.964, 0.146)
Ca (0.318, 0.464, 0.500)
Ca (0.036, 0.182, 0.500)
Ca (0.536, 0.036, 0.854)
Ca (0.682, 0.536, 0.500)
Ca (0.964, 0.818, 0.500)
Ca (0.000, 0.000, 0.000)
Ca (0.500, 0.500, 0.000)
Sn (0.124, 0.624, 0.749)
Sn (0.876, 0.376, 0.251)
Sn (0.624, 0.876, 0.500)
Sn (0.376, 0.124, 0.500)
Sn (0.250, 0.250, 0.000)
Sn (0.750, 0.750, 0.000)

(2)
Density functional theory data (r2SCAN) for crystalline CaZnSn at its relaxed geometry.

The value obtained for the uncorrected energy is -14.149 eV/atom. The energy relative to the elements comes out at -0.58 eV/atom. The value obtained for the theoretical density is 5.24 g/cm³. Its symmetry is P6_3mc, No. 186. The crystal system is hexagonal.

a = 4.651 Å, b = 4.651 Å, c = 7.578 Å
α = 90.00°, β = 90.00°, γ = 120.00°
Element x y z (fractional)
Ca (0.000, 0.000, 0.245)
Ca (0.000, 0.000, 0.745)
Zn (0.333, 0.667, 0.057)
Zn (0.667, 0.333, 0.557)
Sn (0.333, 0.667, 0.464)
Sn (0.667, 0.333, 0.964)

(3)
Density functional theory data (r2SCAN) for crystalline SrCa3 at its relaxed geometry.

The value obtained for the uncorrected energy is -9.026 eV/atom. The energy relative to the elements comes out at 0.04 eV/atom. The value obtained for the theoretical density is 1.87 g/cm³. Its symmetry is Fm-3m, No. 225. The crystal system is cubic. The calculation puts the polymorph energy (0 for the lowest one) at 0.0377 eV per atom.

a = 6.389 Å, b = 6.389 Å, c = 6.389 Å
α = 60.00°, β = 60.00°, γ = 60.00°
Element x y z (fractional)
Sr (0.000, 0.000, 0.000)
Ca (0.250, 0.250, 0.250)
Ca (0.750, 0.750, 0.750)
Ca (0.500, 0.500, 0.500)